# 1
VASP calculation (GGA-PBE) on a geometry-optimized YH8C2S2NO9 structure.

Cell and atoms, written as extended XYZ:
```
92
Lattice="-6.030 -15.323 10.674 4.930 -0.099 2.642 1.557 5.713 9.081" Properties=species:S:1:pos:R:3 pbc="T T T"
H 2.315 -1.222 10.540
H -1.858 -8.487 11.857
H 0.333 -1.729 6.048
H 1.772 -1.080 6.895
H -2.905 -8.966 13.844
H -1.575 -10.180 13.699
H 2.032 0.471 8.698
H -0.428 -10.261 11.408
H -1.737 -7.302 17.562
H 1.804 -4.783 6.551
H 2.024 0.439 12.368
H 3.063 -2.823 6.154
H -3.249 -10.719 8.535
H -1.567 -10.147 10.030
H 3.660 -0.427 11.016
H -3.255 -10.653 13.306
H -1.802 -11.406 11.288
H 3.707 1.010 13.863
H 2.259 1.697 11.109
H -0.079 -5.501 16.970
H 0.124 -7.980 16.349
H 0.938 -2.538 7.529
H 0.885 0.553 10.990
H -2.605 -6.886 16.243
H 3.362 -0.743 8.553
H 0.536 -4.208 5.427
H -1.315 -8.629 15.503
H -3.203 -9.282 11.382
H -0.481 -7.171 14.868
H 2.194 -2.407 4.836
H -1.347 -4.925 15.846
H 3.713 0.944 9.092
C 1.613 -4.242 5.619
C 1.922 0.675 11.305
C -1.465 -10.384 11.092
C 2.987 0.125 9.107
C 1.221 -1.985 6.628
C -1.156 -5.466 16.778
C -2.529 -9.834 13.290
C -0.763 -7.724 15.769
Y 3.036 0.700 3.083
Y 0.921 -3.796 12.745
Y -2.578 -10.408 19.314
Y -0.464 -5.913 9.652
O 5.129 2.859 7.013
O -3.322 -9.858 17.131
O -1.699 -6.278 11.567
O -0.485 -9.286 20.817
O 1.810 3.383 8.282
O -0.485 -9.856 18.492
O 0.942 0.147 3.905
O 2.518 -2.177 13.418
O -1.352 -13.092 14.116
O 1.199 -5.887 11.919
O 0.942 -0.423 1.580
O 2.156 -3.431 10.831
O 3.779 0.149 5.266
O 1.638 -4.616 14.741
O -2.061 -7.532 8.980
O 1.339 -7.649 7.802
O 0.695 -7.737 10.486
O -4.522 -11.446 10.806
O 3.287 -3.442 8.669
O 0.831 -8.134 12.876
O -0.741 -3.822 10.479
O -4.322 -13.822 10.292
O 4.780 4.114 12.105
O 0.615 -7.804 19.176
O -2.830 -6.267 13.728
O -0.237 -1.972 11.912
O -4.114 -13.022 12.597
O -0.882 -2.060 14.595
O -0.373 -1.574 9.521
O -1.180 -5.093 7.656
O 4.571 3.313 9.800
O 4.980 1.737 11.591
O -1.144 -4.596 13.258
O 1.601 -5.113 9.140
O -4.671 -12.567 15.385
O -0.158 -1.905 3.221
S 0.350 -9.189 19.543
S -4.806 -12.789 11.285
S -0.945 -2.318 10.637
S 0.108 -0.520 2.854
S 2.713 -4.280 9.709
S -2.255 -5.429 12.688
S 5.264 3.080 11.112
S 1.403 -7.391 11.761
N -1.641 -6.870 16.626
N 2.099 -2.839 5.771
N 2.758 -0.286 10.524
N -2.300 -9.422 11.874
```

Total DFT energy (no corrections) = -5.9870 eV per atom
Space group = No. 14
MP2020-corrected energy = -556.60 eV for the cell shown

***

# 2
VASP calculation (GGA-PBE) on a geometry-optimized KRuF6 structure.

Cell and atoms, written as extended XYZ:
```
8
Lattice="-1.865 4.546 1.453 2.270 1.525 -4.333 -4.287 -1.885 -2.079" Properties=species:S:1:pos:R:3 pbc="T T T"
F 0.470 2.103 -4.151
F -4.351 2.083 -0.808
F -1.636 0.099 -4.609
F -0.044 4.323 -2.289
F -2.246 4.087 -0.351
F -3.837 -0.136 -2.671
Ru 0.000 0.000 0.000
K -1.941 2.093 -2.480
```

Total DFT energy (no corrections) = -4.8276 eV per atom
Space group = No. 166
MP2020-corrected energy = -41.39 eV for the cell shown

***

# 3
VASP calculation (GGA-PBE) on a geometry-optimized K4Sb2O5 structure.

Cell and atoms, written as extended XYZ:
```
44
Lattice="6.450 0.000 0.000 0.000 7.975 0.000 0.000 0.000 18.361" Properties=species:S:1:pos:R:3 pbc="T T T"
K 4.838 6.977 8.937
K 4.838 0.996 11.976
K 1.613 4.984 9.402
K 1.613 2.990 6.392
K 4.838 2.991 2.795
K 4.838 2.991 8.959
K 1.613 2.990 0.243
K 1.613 6.979 0.222
K 4.838 4.985 11.970
K 1.613 0.997 9.424
K 4.838 0.996 18.140
K 1.613 4.984 15.566
K 1.613 0.997 15.572
K 1.613 6.979 6.385
K 4.838 6.977 2.789
K 4.838 4.985 18.118
Sb 1.613 1.022 3.076
Sb 4.838 3.016 15.286
Sb 1.613 2.965 12.257
Sb 4.838 5.010 6.105
Sb 4.838 0.972 6.105
Sb 1.613 4.959 3.076
Sb 4.838 6.953 15.285
Sb 1.613 7.003 12.256
O 6.308 1.004 7.375
O 6.308 6.985 16.556
O 3.083 6.971 10.987
O 3.083 4.992 1.806
O 3.367 2.983 16.556
O 6.308 2.983 16.556
O 3.367 6.985 16.556
O 3.367 4.977 7.375
O 4.838 6.978 5.557
O 0.142 4.992 1.806
O 3.083 2.998 10.987
O 0.142 2.998 10.987
O 1.613 2.990 3.623
O 0.142 0.990 1.806
O 0.142 6.971 10.987
O 3.083 0.990 1.806
O 4.838 4.985 14.738
O 6.308 4.977 7.375
O 1.613 0.997 12.804
O 3.367 1.004 7.375
```

Total DFT energy (no corrections) = -4.9527 eV per atom
Space group = No. 62
MP2020-corrected energy = -231.66 eV for the cell shown

***

# 4
VASP calculation (GGA-PBE) on a geometry-optimized MgMn4ZnS8 structure.

Cell and atoms, written as extended XYZ:
```
14
Lattice="7.153 -0.085 -0.087 3.503 6.067 0.000 3.483 2.034 5.914" Properties=species:S:1:pos:R:3 pbc="T T T"
S 10.499 6.061 4.292
S 5.390 2.955 4.227
S 8.749 5.061 1.600
S 5.382 4.971 1.535
S 8.757 3.045 4.292
S 7.164 5.976 4.252
S 6.975 2.040 1.574
S 3.640 1.954 1.535
Zn 3.576 -0.042 -0.044
Mn 7.070 4.008 2.913
Mn 5.328 2.991 -0.044
Mn 3.493 4.050 2.957
Mn 5.318 0.974 2.913
Mg 1.742 1.017 2.957
```

Total DFT energy (no corrections) = -5.8177 eV per atom
Space group = No. 12
MP2020-corrected energy = -85.47 eV for the cell shown
Relative energy among the computed polymorphs = 31 meV/atom

***

# 5
VASP calculation (GGA-PBE) on a geometry-optimized CsRb2SiF7 structure.

Cell and atoms, written as extended XYZ:
```
22
Lattice="-3.593 -1.103 -7.334 -6.675 -3.069 3.732 -2.336 5.473 0.322" Properties=species:S:1:pos:R:3 pbc="T T T"
Si -3.338 -1.535 1.866
Si -1.797 -0.552 -3.667
F -9.260 1.156 0.695
F -8.018 -3.331 -1.564
F -2.250 -0.841 -2.037
F -1.168 2.736 0.161
F -7.733 -1.713 -4.252
F -6.302 0.650 -1.640
F -4.850 -2.149 1.336
F -3.500 -0.201 0.783
F -9.105 1.502 -4.063
F -4.718 3.359 -3.786
F -7.887 -2.058 0.506
F -4.872 3.013 0.972
F -5.419 -2.023 -4.937
F -3.345 0.144 -3.975
Rb -6.515 0.385 1.322
Rb -6.090 0.915 -4.602
Rb -3.568 1.800 -1.340
Rb -9.037 -0.499 -1.939
Cs -5.134 -2.086 -1.801
Cs 0.000 0.000 0.000
```

Total DFT energy (no corrections) = -5.0074 eV per atom
Space group = No. 127
MP2020-corrected energy = -116.63 eV for the cell shown

***

# 6
VASP calculation (GGA-PBE) on a geometry-optimized Na2TeSe3 structure.

Cell and atoms, written as extended XYZ:
```
24
Lattice="-7.164 -3.917 10.109 1.677 -5.776 -1.049 7.195 0.512 5.297" Properties=species:S:1:pos:R:3 pbc="T T T"
Se 5.387 -4.259 3.283
Se 0.307 -7.068 10.212
Se -0.836 -5.950 4.339
Se -3.115 -7.228 7.315
Se -3.679 -4.921 11.074
Se 1.494 -4.399 0.900
Se 2.544 -3.230 10.019
Se 0.214 -4.781 13.457
Se 1.401 -2.113 4.146
Se 2.836 -5.377 6.732
Se -1.128 -3.803 7.625
Se 4.823 -1.953 7.042
Na -2.693 -7.759 10.398
Na 3.294 -6.197 9.676
Na 2.023 -5.102 3.832
Na -4.083 -4.427 8.118
Na -0.315 -4.078 10.526
Na 4.401 -1.422 3.959
Na -1.585 -2.984 4.681
Na 5.791 -4.753 6.239
Te -0.814 -6.198 6.862
Te 1.230 -1.978 1.593
Te 0.478 -7.202 12.764
Te 2.522 -2.983 7.495
```

Total DFT energy (no corrections) = -3.3387 eV per atom
Space group = No. 14
MP2020-corrected energy = -85.79 eV for the cell shown
Relative energy among the computed polymorphs = 3 meV/atom

***

# 7
VASP calculation (GGA-PBE) on a geometry-optimized La2PC structure.

Cell and atoms, written as extended XYZ:
```
32
Lattice="8.893 0.000 0.000 -0.042 8.923 0.000 -0.019 -0.030 9.054" Properties=species:S:1:pos:R:3 pbc="T T T"
La 2.782 1.825 2.904
La 5.031 8.378 5.078
La 7.271 7.203 1.881
La 1.606 6.155 6.245
La 4.841 5.087 3.997
La 0.353 0.522 8.417
La 1.645 7.069 2.933
La 8.330 0.420 5.100
La 0.546 3.856 0.400
La 7.273 6.181 7.171
La 2.554 2.901 6.265
La 8.369 3.968 4.064
La 6.118 1.593 1.659
La 6.220 2.698 7.370
La 3.823 5.017 0.624
La 4.023 8.345 8.414
C 8.387 6.694 4.383
C 6.613 0.195 8.581
C 7.045 6.456 4.482
C 2.200 4.466 2.722
C 8.662 3.989 6.790
C 2.168 4.249 4.069
C 8.847 2.631 6.809
C 6.597 8.830 7.247
P 5.543 2.299 4.528
P 1.110 6.733 0.026
P 2.291 0.026 5.658
P 4.400 7.833 2.232
P 0.042 1.101 2.291
P 4.418 5.583 6.866
P 6.679 4.462 1.135
P 3.323 2.159 9.050
```

Total DFT energy (no corrections) = -6.9990 eV per atom
Space group = No. 1

***

# 8
VASP calculation (GGA-PBE) on a geometry-optimized KCdGeAs2 structure.

Cell and atoms, written as extended XYZ:
```
20
Lattice="7.977 0.028 2.082 1.789 7.941 2.811 0.007 0.028 8.869" Properties=species:S:1:pos:R:3 pbc="T T T"
As 6.835 3.596 10.215
As 6.916 3.263 5.591
As 7.939 6.960 8.224
As 1.833 1.037 5.538
As 2.938 4.402 3.546
As 7.626 6.931 12.571
As 2.146 1.067 1.190
As 2.857 4.735 8.171
K 4.750 1.902 7.797
K 4.964 6.407 10.361
K 4.809 1.590 3.401
K 5.023 6.096 5.964
Cd 9.538 7.175 10.680
Cd 0.234 0.823 3.082
Cd 0.543 1.426 7.939
Cd 9.230 6.571 5.822
Ge 7.712 4.401 3.531
Ge 8.682 4.696 8.947
Ge 1.091 3.301 4.815
Ge 2.061 3.596 10.230
```

Total DFT energy (no corrections) = -3.4976 eV per atom
Space group = No. 2

***

What did we get for calculated formation energy? Answer: -1.128, -2.440, -1.861, -0.919, -3.330, -0.862, -0.871, -0.303 eV per atom, in the order shown.